# Na5LiV6O18 (PBE+U, optimized geometry)
# * energy relative to the elements: -2379 meV per atom
# * energy relative to the lowest polymorph listed for this composition: 0.000 eV/atom
# * calculated total energy: -401.8 eV for the cell shown
data_Na5LiV6O18
_cell_length_a 8.0975
_cell_length_b 10.3468
_cell_length_c 11.1885
_cell_angle_alpha 90.39
_cell_angle_beta 102.72
_cell_angle_gamma 110.46
_symmetry_space_group_name_H-M 'P 1'
_symmetry_Int_Tables_number 1
loop_
_symmetry_equiv_pos_as_xyz
'x,y,z'
loop_
_atom_site_label
_atom_site_fract_x
_atom_site_fract_y
_atom_site_fract_z
O1 0.8805 0.8406 0.7748
O2 0.6468 0.6076 0.6237
Na1 0.8464 0.1525 0.5573
Na2 0.8200 0.1796 0.1092
O3 0.9666 0.3289 0.3250
O4 0.4506 0.2952 0.6819
V1 0.1534 0.2642 0.3545
Na3 0.4867 0.5136 0.7773
O5 0.8015 0.4897 0.1495
O6 0.3687 0.3404 0.0098
V2 0.5118 0.0662 0.3116
V3 0.8232 0.5987 0.0216
Na4 0.0548 0.9447 0.1395
V4 0.0735 0.5090 0.6921
V5 0.7373 0.8410 0.3576
O7 0.3552 0.3949 0.3787
O8 0.7907 0.5022 0.8928
V6 0.2564 0.1568 0.6436
O9 0.2103 0.5045 0.1068
V7 0.8479 0.7391 0.6482
O10 0.5268 0.1740 0.1823
O11 0.1961 0.5084 0.8498
V8 0.1800 0.4031 0.9806
O12 0.1358 0.1576 0.4850
Na5 0.1799 0.8205 0.8909
O13 0.2120 0.4981 0.6055
O14 0.3016 0.9958 0.6589
O15 0.8792 0.3709 0.6527
O16 0.4574 0.8356 0.5601
O17 0.7868 0.9636 0.0089
O18 0.2053 0.0400 0.9818
Li1 0.9469 0.0532 0.8563
O19 0.4536 0.8314 0.0649
O20 0.5432 0.1638 0.9389
O21 0.7916 0.5045 0.3945
O22 0.0336 0.6729 0.6762
V9 0.5921 0.8250 0.9756
O23 0.6950 0.0595 0.7171
O24 0.1164 0.1624 0.7317
O25 0.5387 0.7064 0.3151
Na6 0.3879 0.6126 0.4728
Li2 0.2801 0.7199 0.1898
O26 0.1237 0.6313 0.3407
Na7 0.7223 0.2777 0.8077
Na8 0.6119 0.3881 0.5262
O27 0.5411 0.1629 0.4399
O28 0.9817 0.2679 0.9542
O29 0.0288 0.7262 0.0502
O30 0.6358 0.6633 0.9919
V10 0.9286 0.4930 0.3067
O31 0.3131 0.9316 0.2852
O32 0.1225 0.1676 0.2261
O33 0.4676 0.8233 0.8177
V11 0.4896 0.9318 0.6890
O34 0.8767 0.8304 0.2718
V12 0.4036 0.1749 0.0244
Na9 0.5131 0.4876 0.2230
O35 0.8613 0.8415 0.5158
O36 0.7027 0.0061 0.3417
Na10 0.1537 0.8464 0.4426


# Na7Li3V10O30 (PBE+U, optimized geometry)
# * energy relative to the elements: -2382 meV per atom
# * calculated total energy: -671.5 eV for the cell shown
data_Na7Li3V10O30
_cell_length_a 8.0298
_cell_length_b 11.1012
_cell_length_c 16.5724
_cell_angle_alpha 94.01
_cell_angle_beta 103.48
_cell_angle_gamma 102.49
_symmetry_space_group_name_H-M 'P 1'
_symmetry_Int_Tables_number 1
loop_
_symmetry_equiv_pos_as_xyz
'x,y,z'
loop_
_atom_site_label
_atom_site_fract_x
_atom_site_fract_y
_atom_site_fract_z
Na1 0.7231 0.5269 0.9078
O1 0.3907 0.3014 0.7003
V1 0.6562 0.0998 0.3580
O2 0.3677 0.3011 0.0404
O3 0.4162 0.4154 0.2212
O4 0.3866 0.1466 0.8958
O5 0.4102 0.0547 0.7060
O6 0.9886 0.7009 0.9009
O7 0.0036 0.8064 0.0965
O8 0.7894 0.9017 0.5012
O9 0.8529 0.5046 0.3667
Na2 0.5226 0.7266 0.5079
O10 0.2523 0.1075 0.1642
O11 0.3915 0.7922 0.6988
O12 0.2964 0.7418 0.1944
V2 0.0601 0.1906 0.4962
V3 0.8615 0.3881 0.0948
O13 0.4522 0.9075 0.5641
O14 0.7053 0.2598 0.8031
O15 0.7679 0.9006 0.8402
Na3 0.2995 0.9505 0.4336
Na4 0.8767 0.8733 0.2923
V4 0.3468 0.9040 0.6412
O16 0.2082 0.1046 0.5047
O17 0.5670 0.1011 0.4405
O18 0.1900 0.5012 0.3017
O19 0.1920 0.9923 0.2988
O20 0.6271 0.2210 0.6226
O21 0.8959 0.1425 0.3953
V5 0.2615 0.9880 0.8947
O22 0.4027 0.4061 0.8961
O23 0.4937 0.5416 0.5951
O24 0.3686 0.7715 0.3761
Li1 0.9044 0.8456 0.9681
O25 0.6117 0.7041 0.3023
O26 0.6080 0.8538 0.1071
V6 0.0564 0.6996 0.1578
O27 0.3069 0.6598 0.0021
Na5 0.2767 0.4732 0.0923
V7 0.9326 0.8116 0.5053
V8 0.6643 0.5846 0.6935
O28 0.0079 0.4538 0.9060
V9 0.7325 0.0114 0.1053
Li2 0.3015 0.4446 0.7670
V10 0.4561 0.2997 0.9576
O29 0.1576 0.4944 0.6390
O30 0.7886 0.7442 0.6960
O31 0.8160 0.0156 0.0208
O32 0.5091 0.4579 0.4031
O33 0.9867 0.5466 0.0957
Na6 0.3230 0.9270 0.1076
O34 0.1881 0.3471 0.4946
O35 0.4117 0.9040 0.9023
O36 0.0160 0.8151 0.4208
O37 0.5887 0.1011 0.1010
Na7 0.6769 0.0735 0.8920
O38 0.7970 0.3945 0.5056
O39 0.8074 0.6541 0.5071
V11 0.3338 0.4114 0.3060
O40 0.9677 0.7008 0.2405
V12 0.1327 0.6114 0.9051
Li3 0.7057 0.0478 0.5687
Na8 0.9234 0.3268 0.3076
O41 0.2082 0.2540 0.3070
V13 0.1467 0.1038 0.2413
O42 0.8106 0.4973 0.6968
O43 0.9069 0.0600 0.2021
V14 0.9452 0.3045 0.8388
V15 0.8564 0.8984 0.7574
O44 0.7688 0.3716 0.1761
Na9 0.7005 0.5497 0.2340
Na10 0.0996 0.1502 0.0327
V16 0.4616 0.7881 0.2948
O45 0.5920 0.5922 0.0988
Li4 0.8971 0.3528 0.6324
O46 0.9946 0.1936 0.8962
O47 0.6522 0.7074 0.9642
V17 0.5358 0.2126 0.7047
O48 0.9670 0.1813 0.5778
O49 0.5868 0.9467 0.2958
O50 0.5734 0.5694 0.7755
O51 0.1069 0.8600 0.6020
O52 0.6040 0.2066 0.2967
Na11 0.4782 0.2735 0.4935
Li5 0.1047 0.6457 0.3683
O53 0.2024 0.6059 0.4975
O54 0.0117 0.3040 0.1023
O55 0.6962 0.3418 0.9944
V18 0.5466 0.7036 0.0413
O56 0.1685 0.9715 0.9760
O57 0.0425 0.3094 0.7586
O58 0.2164 0.6155 0.8207
Na12 0.5006 0.7493 0.8329
Li6 0.5044 0.2456 0.1681
O59 0.0963 0.9416 0.7943
O60 0.8034 0.0050 0.6962
V19 0.7486 0.5019 0.4443
V20 0.2532 0.4983 0.5584
Na13 0.0763 0.6714 0.6917
Na14 0.1220 0.1288 0.7071


# Na7Li3V10O30 (PBE+U, optimized geometry)
# * energy relative to the elements: -2382 meV per atom
# * calculated total energy: -671.5 eV for the cell shown
data_Na7Li3V10O30
_cell_length_a 7.0700
_cell_length_b 12.2172
_cell_length_c 16.6312
_cell_angle_alpha 89.52
_cell_angle_beta 101.01
_cell_angle_gamma 99.83
_symmetry_space_group_name_H-M 'P 1'
_symmetry_Int_Tables_number 1
loop_
_symmetry_equiv_pos_as_xyz
'x,y,z'
loop_
_atom_site_label
_atom_site_fract_x
_atom_site_fract_y
_atom_site_fract_z
O1 0.3871 0.0565 0.5780
O2 0.0259 0.9105 0.8457
Li1 0.0901 0.0820 0.5860
O3 0.3599 0.2857 0.4663
O4 0.9806 0.8996 0.5601
Na1 0.9164 0.3170 0.6159
O5 0.9806 0.2997 0.7600
O6 0.3581 0.4859 0.0665
O7 0.6448 0.1176 0.7315
O8 0.9809 0.0997 0.1600
O9 0.9021 0.7534 0.6794
V1 0.3790 0.1395 0.9707
O10 0.7804 0.1282 0.5768
O11 0.3568 0.8841 0.2665
V2 0.3787 0.7394 0.7705
O12 0.6052 0.3451 0.6235
O13 0.0998 0.2461 0.3165
V3 0.1988 0.9789 0.7976
Na2 0.2891 0.0421 0.1658
O14 0.0258 0.1108 0.4455
Na3 0.9164 0.9168 0.4166
O15 0.6099 0.5415 0.2216
Li2 0.0891 0.6809 0.3849
V4 0.3783 0.9390 0.3705
O16 0.3871 0.8564 0.9781
V5 0.8018 0.4253 0.3994
O17 0.6053 0.1454 0.0238
O18 0.9056 0.3561 0.4776
O19 0.6451 0.7174 0.5315
Na4 0.2889 0.2423 0.7655
Na5 0.7108 0.9578 0.8343
V6 0.1985 0.3788 0.9977
O20 0.6470 0.9129 0.6364
Li3 0.9120 0.5176 0.2148
V7 0.6164 0.6582 0.4284
Na6 0.9165 0.7165 0.8173
V8 0.3809 0.5395 0.1710
V9 0.1977 0.7761 0.1976
O21 0.6049 0.9450 0.4234
V10 0.8023 0.6230 0.0046
O22 0.6471 0.3130 0.8364
V11 0.3789 0.3394 0.5705
O23 0.3451 0.0842 0.3645
V12 0.6185 0.2604 0.2284
O24 0.3507 0.6850 0.1650
O25 0.0989 0.8444 0.1172
O26 0.6449 0.9177 0.1314
O27 0.0992 0.6457 0.5162
O28 0.9746 0.4991 0.3535
V13 0.8020 0.0248 0.2016
O29 0.3596 0.6857 0.6662
O30 0.8980 0.5538 0.0851
Li4 0.0894 0.2836 0.1864
O31 0.9021 0.1534 0.8793
O32 0.7804 0.5281 0.7773
O33 0.6465 0.7128 0.0363
O34 0.6051 0.7451 0.8234
O35 0.6479 0.5131 0.4356
Na7 0.9165 0.1167 0.0165
O36 0.7806 0.9279 0.9770
V14 0.6168 0.4584 0.8293
O37 0.0254 0.3106 0.0456
Li5 0.0901 0.8820 0.9862
Na8 0.7123 0.7567 0.2341
O38 0.6474 0.5168 0.9330
O39 0.2205 0.2602 0.6203
Na9 0.7108 0.5579 0.6344
O40 0.9813 0.6973 0.9624
O41 0.2202 0.8600 0.4204
Na10 0.7114 0.3583 0.0356
O42 0.0996 0.0462 0.7167
Na11 0.2888 0.8422 0.5654
O43 0.2157 0.4646 0.2202
Na12 0.2861 0.4426 0.3646
O44 0.9018 0.9533 0.2792
V15 0.8017 0.2246 0.8016
O45 0.3878 0.4568 0.7787
O46 0.0240 0.7035 0.2436
V16 0.6161 0.8581 0.0285
O47 0.7805 0.7282 0.3768
O48 0.3454 0.2845 0.9648
O49 0.3872 0.6565 0.3781
O50 0.0997 0.4463 0.9168
V17 0.1989 0.1788 0.3974
Na13 0.7107 0.1581 0.4342
O51 0.3600 0.0858 0.8664
O52 0.6489 0.1146 0.2357
O53 0.6424 0.3164 0.3319
O54 0.3454 0.8845 0.7646
V18 0.6162 0.0582 0.6285
Li6 0.0901 0.4820 0.7861
O55 0.0258 0.5107 0.6456
V19 0.1986 0.5788 0.5973
O56 0.7842 0.3349 0.1794
O57 0.3893 0.2582 0.1779
Na14 0.2893 0.6422 0.9655
O58 0.2205 0.6602 0.8204
V20 0.8018 0.8244 0.6017
O59 0.3456 0.4845 0.5647
O60 0.2207 0.0601 0.0204


# Na5Li3V8O24 (PBE+U, optimized geometry)
# * energy relative to the elements: -2385 meV per atom
# * calculated total energy: -269.1 eV for the cell shown
data_Na5Li3V8O24
_cell_length_a 7.0323
_cell_length_b 7.0323
_cell_length_c 11.8290
_cell_angle_alpha 75.68
_cell_angle_beta 75.68
_cell_angle_gamma 83.10
_symmetry_space_group_name_H-M 'P 1'
_symmetry_Int_Tables_number 1
loop_
_symmetry_equiv_pos_as_xyz
'x,y,z'
loop_
_atom_site_label
_atom_site_fract_x
_atom_site_fract_y
_atom_site_fract_z
O1 0.0959 0.6106 0.2243
V1 0.3780 0.1972 0.0017
O2 0.9764 0.7865 0.4493
O3 0.3894 0.9041 0.7757
O4 0.6477 0.6429 0.8917
O5 0.2135 0.0236 0.5507
Li1 0.0886 0.9116 0.7483
O6 0.6047 0.0949 0.9689
O7 0.3863 0.9027 0.2783
O8 0.6447 0.6480 0.6421
V2 0.1967 0.3807 0.2514
O9 0.7824 0.9746 0.2088
O10 0.0254 0.2176 0.7912
O11 0.3460 0.3553 0.8590
O12 0.2188 0.0176 0.0563
O13 0.9051 0.3953 0.0311
V3 0.8028 0.6220 0.9983
V4 0.1981 0.3838 0.7481
O14 0.3571 0.3523 0.1083
O15 0.6447 0.6540 0.1410
O16 0.0235 0.2137 0.3007
O17 0.3520 0.3553 0.3579
Li2 0.9126 0.0874 0.5000
O18 0.0973 0.6137 0.7217
Na1 0.7107 0.2883 0.7487
V5 0.6162 0.8019 0.2519
Na2 0.2873 0.7127 0.5000
Na3 0.7117 0.2893 0.2513
Li3 0.0884 0.9114 0.2517
O19 0.6106 0.0959 0.4742
O20 0.3588 0.3542 0.6062
V6 0.6193 0.8033 0.7486
Na4 0.9168 0.0832 0.0000
O21 0.9824 0.7812 0.9437
O22 0.6458 0.6412 0.3938
V7 0.3808 0.1967 0.5010
O23 0.9041 0.3894 0.5258
O24 0.7863 0.9765 0.6993
V8 0.8033 0.6192 0.4990
Na5 0.2899 0.7101 0.0000


# Na3LiV4O12 (PBE+U, optimized geometry)
# * energy relative to the elements: -2379 meV per atom
# * calculated total energy: -134.1 eV for the cell shown
data_Na3LiV4O12
_cell_length_a 5.9249
_cell_length_b 7.0918
_cell_length_c 7.0918
_cell_angle_alpha 83.26
_cell_angle_beta 75.74
_cell_angle_gamma 75.74
_symmetry_space_group_name_H-M 'P 1'
_symmetry_Int_Tables_number 1
loop_
_symmetry_equiv_pos_as_xyz
'x,y,z'
loop_
_atom_site_label
_atom_site_fract_x
_atom_site_fract_y
_atom_site_fract_z
O1 0.5345 0.6438 0.6533
O2 0.6902 0.1020 0.6132
V1 0.7457 0.1979 0.3836
O3 0.8098 0.3868 0.8980
O4 0.4634 0.3587 0.3518
O5 0.0366 0.6482 0.6413
V2 0.7543 0.6164 0.8021
V3 0.2499 0.3787 0.1981
Na1 0.2500 0.9155 0.0845
Na2 0.7500 0.7114 0.2886
O6 0.1445 0.9801 0.7787
O7 0.1852 0.6054 0.1007
O8 0.8332 0.0266 0.2191
O9 0.3555 0.2213 0.0199
Li1 0.7500 0.0898 0.9102
Na3 0.2500 0.2885 0.7115
O10 0.3148 0.8993 0.3946
V4 0.2501 0.8019 0.6213
O11 0.6668 0.7809 0.9734
O12 0.9655 0.3467 0.3562


# Na5Li3V8O24 (PBE+U, optimized geometry)
# * energy relative to the elements: -2386 meV per atom
# * calculated total energy: -269.1 eV for the cell shown
data_Na5Li3V8O24
_cell_length_a 5.9210
_cell_length_b 7.0248
_cell_length_c 13.8366
_cell_angle_alpha 90.68
_cell_angle_beta 100.29
_cell_angle_gamma 104.22
_symmetry_space_group_name_H-M 'P 1'
_symmetry_Int_Tables_number 1
loop_
_symmetry_equiv_pos_as_xyz
'x,y,z'
loop_
_atom_site_label
_atom_site_fract_x
_atom_site_fract_y
_atom_site_fract_z
V1 0.0605 0.1976 0.8130
Na1 0.3947 0.2894 0.6448
O1 0.7389 0.3945 0.5482
O2 0.9566 0.9766 0.1066
O3 0.1510 0.2160 0.4872
O4 0.5024 0.9023 0.8065
O5 0.0014 0.9022 0.3052
V2 0.6503 0.3805 0.9020
Na2 0.7924 0.0849 0.5424
O6 0.0064 0.0949 0.6992
O7 0.2459 0.3896 0.0488
O8 0.0443 0.0234 0.8959
Na3 0.1058 0.7121 0.8561
O9 0.1437 0.6482 0.1778
O10 0.6443 0.6508 0.6781
V3 0.5559 0.1967 0.3080
O11 0.3619 0.7869 0.0117
O12 0.8578 0.3544 0.3246
V4 0.1520 0.3821 0.4008
O13 0.6417 0.6444 0.1759
Na4 0.8941 0.2882 0.1439
O14 0.8670 0.7819 0.5094
Li1 0.7061 0.9121 0.9560
Li2 0.2940 0.0878 0.0439
V5 0.4397 0.8022 0.6913
V6 0.8515 0.6221 0.5990
O15 0.7546 0.6110 0.9514
O16 0.4975 0.0990 0.1927
O17 0.8559 0.3520 0.8221
O18 0.1414 0.6413 0.6770
V7 0.3504 0.6201 0.0982
O19 0.4441 0.9747 0.6078
O20 0.3568 0.3537 0.3208
O21 0.5329 0.0191 0.3887
O22 0.2555 0.6122 0.4508
Li3 0.2053 0.9109 0.4555
V8 0.9421 0.8035 0.1899
Na5 0.6056 0.7106 0.3553
O23 0.6383 0.2129 0.9884
O24 0.3595 0.3574 0.8249


# Li5Nb2Ni5O12 (PBE+U, optimized geometry)
# * energy relative to the elements: -2014 meV per atom
# * energy relative to the lowest polymorph listed for this composition: 0.000 eV/atom
# * calculated total energy: -145.4 eV for the cell shown
data_Li5Nb2Ni5O12
_cell_length_a 5.2417
_cell_length_b 5.2417
_cell_length_c 10.0326
_cell_angle_alpha 84.29
_cell_angle_beta 84.29
_cell_angle_gamma 121.45
_symmetry_space_group_name_H-M 'P 1'
_symmetry_Int_Tables_number 1
loop_
_symmetry_equiv_pos_as_xyz
'x,y,z'
loop_
_atom_site_label
_atom_site_fract_x
_atom_site_fract_y
_atom_site_fract_z
Li1 0.6833 0.8255 0.7446
O1 0.3864 0.8803 0.6196
O2 0.2926 0.4617 0.8767
O3 0.1197 0.6136 0.3804
Nb1 0.7465 0.2535 0.5000
O4 0.6261 0.1215 0.8822
Ni1 0.9220 0.0780 0.0000
Ni2 0.5829 0.4171 0.0000
O5 0.2117 0.0332 0.1241
Nb2 0.2527 0.7473 0.0000
O6 0.0292 0.2215 0.6208
O7 0.5383 0.7074 0.1233
Ni3 0.4931 0.9961 0.2530
O8 0.9668 0.7883 0.8759
Li2 0.0784 0.9216 0.5000
Li3 0.8178 0.6815 0.2547
Ni4 0.0039 0.5069 0.7470
Ni5 0.4173 0.5827 0.5000
O9 0.7087 0.5273 0.6191
O10 0.4727 0.2913 0.3809
O11 0.8785 0.3739 0.1178
Li4 0.3185 0.1822 0.7453
O12 0.7785 0.9708 0.3792
Li5 0.1745 0.3167 0.2554